# CdS2 GGA-PBE optimized geometry
# **DFT total energy**: -3.389 eV/atom
# **Energy relative to the elements**: -0.66 eV per atom
# **SG**: Pa-3
# **V**: 21.9 A^3/atom
data_CdS2
_chemical_formula_sum 'Cd4 S8'
_space_group_name_H-M_alt 'P 1'
_space_group_IT_number 1
_cell_length_a 6.408
_cell_length_b 6.408
_cell_length_c 6.408
_cell_angle_alpha 90.00
_cell_angle_beta 90.00
_cell_angle_gamma 90.00
loop_
_space_group_symop_operation_xyz
'x,y,z'
loop_
_atom_site_label
_atom_site_type_symbol
_atom_site_fract_x
_atom_site_fract_y
_atom_site_fract_z
_atom_site_occupancy
Cd1 Cd 0.000 0.000 0.000 1
Cd2 Cd 0.000 0.500 0.500 1
Cd3 Cd 0.500 0.000 0.500 1
Cd4 Cd 0.500 0.500 0.000 1
S1 S 0.094 0.594 0.906 1
S2 S 0.094 0.906 0.406 1
S3 S 0.406 0.094 0.906 1
S4 S 0.406 0.406 0.406 1
S5 S 0.594 0.594 0.594 1
S6 S 0.594 0.906 0.094 1
S7 S 0.906 0.094 0.594 1
S8 S 0.906 0.406 0.094 1